44
Lattice="-4.580 3.378 2.513 -1.594 -4.370 9.364 7.587 3.436 3.926" Properties=species:S:1:pos:R:3 comment="CaFeP2O7 | Materials Project | PBE+U | optimized geometry" magnetic_moment_mub_per_fu=0.00 energy_corrected_mp2020_ev_per_atom=-7.873 rho_g_cm3=3.22 e_above_lowest_polymorph_mev_per_atom=11 final_energy_ev_per_atom=-7.2311 pbc="T T T"
Ca -0.472 0.570 11.574
Ca -3.469 1.036 4.928
Ca 1.887 1.875 4.230
Ca 4.883 1.408 10.875
O -1.717 -0.472 5.562
O 0.425 -1.520 6.172
O -0.987 -2.996 8.292
O 0.147 -0.547 3.808
O 3.259 1.012 8.109
O 0.135 3.383 3.595
O -2.188 1.538 10.230
O -1.728 3.457 5.350
O -1.956 1.928 3.363
O 3.132 2.916 10.241
O 5.014 2.383 3.453
O 0.990 3.963 9.631
O -3.154 -0.413 8.910
O 4.568 2.857 6.893
O 1.150 0.963 14.337
O 1.279 -0.939 12.207
O 0.373 0.983 5.794
O 3.370 0.516 12.440
O 1.041 1.461 10.009
O 2.401 5.441 7.511
O -1.845 1.430 7.694
O 3.142 -1.013 10.453
O -0.022 -1.046 9.613
O -3.600 0.061 12.350
O 1.436 3.490 6.191
O 1.267 2.991 11.995
O 0.264 1.480 1.466
O 3.603 0.906 5.573
Fe 2.600 2.181 13.525
Fe -0.398 2.648 6.883
Fe 1.811 -0.204 8.922
Fe -1.186 0.263 2.278
P -0.226 -0.342 5.292
P 1.854 4.972 6.152
P 4.151 1.374 6.931
P 1.640 2.786 10.511
P -2.736 1.069 8.873
P -1.357 3.253 3.866
P -0.440 -2.528 9.651
P 2.771 -0.809 11.937